Tm4Co3 | PBE-GGA | optimized geometry

## Properties
Crystal system = trigonal
Energy of formation = -0.226 eV per atom

Lattice parameters (Å, degrees): 11.050 11.050 4.018 90.00 90.00 120.00
Positions (direct):
Tm 0.023 0.777 0.250
Tm 0.134 0.514 0.250
Tm 0.223 0.246 0.250
Tm 0.246 0.023 0.750
Tm 0.380 0.866 0.250
Tm 0.486 0.620 0.250
Tm 0.514 0.380 0.750
Tm 0.620 0.134 0.750
Tm 0.754 0.977 0.250
Tm 0.777 0.754 0.750
Tm 0.866 0.486 0.750
Tm 0.977 0.223 0.750
Co 0.000 0.000 0.000
Co 0.154 0.717 0.751
Co 0.283 0.437 0.751
Co 0.333 0.667 0.750
Co 0.437 0.154 0.249
Co 0.563 0.846 0.751
Co 0.667 0.333 0.250
Co 0.717 0.563 0.249
Co 0.846 0.283 0.249